First-principles (PBE-GGA) data for a relaxed K4Sn20Hg3 crystal, as listed in the Materials Project. Values from VASP.

Values from the calculation:
* energy relative to the elements: -0.132 eV per atom

Quantum ESPRESSO input file:
```
&SYSTEM
  ibrav = 0, nat = 54, ntyp = 3
/
ATOMIC_SPECIES
Sn 118.71 Sn.upf
K 39.10 K.upf
Hg 200.59 Hg.upf
ATOMIC_POSITIONS crystal
Sn 0.312 0.000 0.883
Sn 0.188 0.617 0.500
Sn 0.812 0.617 0.500
Sn 0.683 0.683 0.683
Sn 0.500 0.812 0.383
Sn 0.817 0.183 0.183
Sn 0.183 0.817 0.183
Sn 0.317 0.683 0.317
Sn 0.317 0.317 0.683
Sn 0.383 0.500 0.188
Sn 0.617 0.500 0.188
Sn 0.383 0.500 0.812
Sn 0.117 0.312 0.000
Sn 0.817 0.817 0.183
Sn 0.317 0.317 0.317
Sn 0.883 0.312 0.000
Sn 0.312 0.000 0.117
Sn 0.183 0.183 0.183
Sn 0.683 0.683 0.317
Sn 0.000 0.117 0.688
Sn 0.817 0.817 0.817
Sn 0.117 0.688 0.000
Sn 0.183 0.183 0.817
Sn 0.817 0.183 0.817
Sn 0.188 0.383 0.500
Sn 0.317 0.683 0.683
Sn 0.000 0.883 0.312
Sn 0.183 0.817 0.817
Sn 0.683 0.317 0.683
Sn 0.812 0.383 0.500
Sn 0.500 0.812 0.617
Sn 0.500 0.188 0.617
Sn 0.683 0.317 0.317
Sn 0.688 0.000 0.117
Sn 0.617 0.500 0.812
Sn 0.883 0.688 0.000
Sn 0.000 0.117 0.312
Sn 0.688 0.000 0.883
Sn 0.000 0.883 0.688
Sn 0.500 0.188 0.383
K 0.750 0.000 0.500
K 0.000 0.500 0.750
K 0.500 0.250 0.000
K 0.500 0.500 0.500
K 0.250 0.000 0.500
K 0.000 0.500 0.250
K 0.500 0.750 0.000
K 0.000 0.000 0.000
Hg 0.000 0.250 0.500
Hg 0.750 0.500 0.000
Hg 0.250 0.500 0.000
Hg 0.500 0.000 0.750
Hg 0.500 0.000 0.250
Hg 0.000 0.750 0.500
CELL_PARAMETERS angstrom
12.439 0.000 0.000
0.000 12.439 0.000
0.000 0.000 12.439
```

=====

First-principles (PBE-GGA) data for a relaxed PrTiFe11 crystal, as listed in the Materials Project. Values from VASP.

Values from the calculation:
* energy relative to the elements: -0.023 eV per atom

Quantum ESPRESSO input file:
```
&SYSTEM
  ibrav = 0, nat = 13, ntyp = 3
/
ATOMIC_SPECIES
Fe 55.84 Fe.upf
Ti 47.87 Ti.upf
Pr 140.91 Pr.upf
ATOMIC_POSITIONS crystal
Fe 0.000 0.359 0.358
Fe 0.357 0.643 0.357
Fe 0.270 0.230 0.770
Fe 0.001 0.998 0.499
Fe 0.499 0.773 0.770
Fe 0.499 0.230 0.227
Fe 0.001 0.501 0.002
Fe 0.500 0.501 0.002
Fe 0.734 0.766 0.234
Fe 0.000 0.642 0.641
Fe 0.500 0.998 0.499
Ti 0.632 0.368 0.632
Pr 0.006 0.994 0.006
CELL_PARAMETERS angstrom
0.000 0.000 4.690
-4.319 4.284 2.345
-4.319 -4.284 -2.345
```

=====

First-principles (PBE-GGA) data for a relaxed Ru crystal, as listed in the Materials Project. Values from VASP.

Values from the calculation:
* energy relative to the elements: 0.000 eV per atom
* ΔE to the lowest computed polymorph: 0.0 meV/atom

Quantum ESPRESSO input file:
```
&SYSTEM
  ibrav = 0, nat = 2, ntyp = 1
/
ATOMIC_SPECIES
Ru 101.07 Ru.upf
ATOMIC_POSITIONS crystal
Ru 0.667 0.333 0.750
Ru 0.333 0.667 0.250
CELL_PARAMETERS angstrom
-1.366 -2.367 0.000
-1.366 2.367 0.000
0.000 0.000 -4.314
```

=====

First-principles (PBE-GGA) data for a relaxed Cs7Np3Cl12O6 crystal, as listed in the Materials Project. Values from VASP.

Values from the calculation:
* energy relative to the elements: -2.336 eV per atom

Quantum ESPRESSO input file:
```
&SYSTEM
  ibrav = 0, nat = 56, ntyp = 4
/
ATOMIC_SPECIES
Cs 132.91 Cs.upf
Cl 35.45 Cl.upf
Np 237.00 Np.upf
O 16.00 O.upf
ATOMIC_POSITIONS crystal
Cs 0.375 0.625 0.750
Cs 0.000 0.204 0.500
Cs 0.000 0.704 0.500
Cs 0.125 0.875 0.250
Cs 0.796 0.796 0.796
Cs 0.500 0.000 0.704
Cs 0.704 0.500 0.000
Cs 0.500 0.000 0.204
Cs 0.250 0.125 0.875
Cs 0.625 0.750 0.375
Cs 0.204 0.500 0.000
Cs 0.296 0.296 0.296
Cs 0.875 0.250 0.125
Cs 0.750 0.375 0.625
Cl 0.857 0.811 0.286
Cl 0.954 0.643 0.929
Cl 0.525 0.714 0.071
Cl 0.189 0.975 0.046
Cl 0.311 0.357 0.786
Cl 0.811 0.286 0.857
Cl 0.357 0.786 0.311
Cl 0.214 0.025 0.571
Cl 0.143 0.454 0.429
Cl 0.429 0.143 0.454
Cl 0.454 0.429 0.143
Cl 0.071 0.525 0.714
Cl 0.975 0.046 0.189
Cl 0.025 0.571 0.214
Cl 0.571 0.214 0.025
Cl 0.929 0.954 0.643
Cl 0.546 0.475 0.689
Cl 0.046 0.189 0.975
Cl 0.643 0.929 0.954
Cl 0.786 0.311 0.357
Cl 0.286 0.857 0.811
Cl 0.714 0.071 0.525
Cl 0.689 0.546 0.475
Cl 0.475 0.689 0.546
Np 0.250 0.625 0.375
Np 0.875 0.125 0.750
Np 0.625 0.375 0.250
Np 0.375 0.250 0.625
Np 0.125 0.750 0.875
Np 0.750 0.875 0.125
O 0.250 0.507 0.257
O 0.743 0.493 0.250
O 0.750 0.993 0.243
O 0.250 0.743 0.493
O 0.243 0.750 0.993
O 0.493 0.250 0.743
O 0.507 0.257 0.250
O 0.757 0.007 0.750
O 0.007 0.750 0.757
O 0.750 0.757 0.007
O 0.257 0.250 0.507
O 0.993 0.243 0.750
CELL_PARAMETERS angstrom
-7.689 7.689 7.689
7.689 -7.689 7.689
7.689 7.689 -7.689
```

=====

First-principles (PBE-GGA) data for a relaxed Al2Si2H4O9 crystal, as listed in the Materials Project. Values from VASP.

Values from the calculation:
* energy relative to the elements: -2.594 eV per atom
* ΔE to the lowest computed polymorph: 17.7 meV/atom

Quantum ESPRESSO input file:
```
&SYSTEM
  ibrav = 0, nat = 17, ntyp = 4
/
ATOMIC_SPECIES
H 1.01 H.upf
Si 28.09 Si.upf
O 16.00 O.upf
Al 26.98 Al.upf
ATOMIC_POSITIONS crystal
H 0.341 0.341 0.227
H 0.000 0.659 0.227
H 0.659 0.000 0.228
H 0.996 0.000 0.752
Si 0.336 0.658 0.856
Si 0.678 0.342 0.856
O 0.505 0.000 0.929
O 0.326 0.613 0.637
O 0.500 0.495 0.949
O 0.729 0.000 0.350
O 0.713 0.387 0.637
O 0.942 0.606 0.354
O 0.005 0.505 0.949
O 0.336 0.394 0.354
O 0.934 0.000 0.629
Al 0.000 0.333 0.482
Al 0.667 0.667 0.482
CELL_PARAMETERS angstrom
1.113 4.608 2.305
-0.577 -4.325 2.898
7.152 -1.306 -0.615
```

=====

First-principles (PBE-GGA) data for a relaxed ErTiGe crystal, as listed in the Materials Project. Values from VASP.

Values from the calculation:
* energy relative to the elements: -0.696 eV per atom

Quantum ESPRESSO input file:
```
&SYSTEM
  ibrav = 0, nat = 6, ntyp = 3
/
ATOMIC_SPECIES
Er 167.26 Er.upf
Ge 72.64 Ge.upf
Ti 47.87 Ti.upf
ATOMIC_POSITIONS crystal
Er 0.500 0.000 0.657
Er 0.000 0.500 0.343
Ge 0.500 0.000 0.247
Ge 0.000 0.500 0.753
Ti 0.500 0.500 0.000
Ti 0.000 0.000 0.000
CELL_PARAMETERS angstrom
-0.599 2.302 -3.265
2.404 -2.429 -2.153
-6.014 -4.264 -1.903
```

=====

First-principles (PBE-GGA) data for a relaxed LiH4SNO4 crystal, as listed in the Materials Project. Values from VASP.

Values from the calculation:
* energy relative to the elements: -1.444 eV per atom
* ΔE to the lowest computed polymorph: 4.4 meV/atom

Quantum ESPRESSO input file:
```
&SYSTEM
  ibrav = 0, nat = 88, ntyp = 5
/
ATOMIC_SPECIES
Li 6.94 Li.upf
O 16.00 O.upf
S 32.06 S.upf
H 1.01 H.upf
N 14.01 N.upf
ATOMIC_POSITIONS crystal
Li 0.766 0.911 0.339
Li 0.726 0.590 0.086
Li 0.234 0.089 0.661
Li 0.774 0.590 0.586
Li 0.274 0.410 0.914
Li 0.734 0.911 0.839
Li 0.226 0.410 0.414
Li 0.266 0.089 0.161
O 0.157 0.226 0.874
O 0.968 0.440 0.117
O 0.235 0.060 0.769
O 0.548 0.030 0.614
O 0.735 0.940 0.731
O 0.484 0.042 0.884
O 0.381 0.550 0.120
O 0.675 0.704 0.845
O 0.119 0.550 0.620
O 0.452 0.970 0.386
O 0.782 0.629 0.477
O 0.016 0.042 0.384
O 0.282 0.371 0.023
O 0.032 0.560 0.883
O 0.952 0.030 0.114
O 0.881 0.450 0.380
O 0.218 0.371 0.523
O 0.325 0.296 0.155
O 0.657 0.774 0.626
O 0.825 0.704 0.345
O 0.343 0.226 0.374
O 0.516 0.958 0.116
O 0.265 0.060 0.269
O 0.984 0.958 0.616
O 0.532 0.440 0.617
O 0.468 0.560 0.383
O 0.843 0.774 0.126
O 0.048 0.970 0.886
O 0.765 0.940 0.231
O 0.175 0.296 0.655
O 0.718 0.629 0.977
O 0.619 0.450 0.880
S 0.239 0.415 0.103
S 0.231 0.076 0.853
S 0.731 0.924 0.647
S 0.269 0.076 0.353
S 0.261 0.415 0.603
S 0.739 0.585 0.397
S 0.761 0.585 0.897
S 0.769 0.924 0.147
H 0.331 0.856 0.460
H 0.410 0.713 0.772
H 0.903 0.248 0.964
H 0.791 0.336 0.300
H 0.384 0.670 0.293
H 0.362 0.716 0.986
H 0.590 0.287 0.228
H 0.597 0.248 0.464
H 0.181 0.827 0.746
H 0.819 0.173 0.254
H 0.709 0.336 0.800
H 0.658 0.137 0.957
H 0.209 0.664 0.700
H 0.291 0.664 0.200
H 0.169 0.856 0.960
H 0.862 0.284 0.514
H 0.116 0.670 0.793
H 0.681 0.173 0.754
H 0.616 0.330 0.707
H 0.831 0.144 0.040
H 0.403 0.752 0.536
H 0.842 0.137 0.457
H 0.884 0.330 0.207
H 0.342 0.863 0.043
H 0.138 0.716 0.486
H 0.910 0.287 0.728
H 0.158 0.863 0.543
H 0.090 0.713 0.272
H 0.669 0.144 0.540
H 0.319 0.827 0.246
H 0.097 0.752 0.036
H 0.638 0.284 0.014
N 0.772 0.281 0.248
N 0.272 0.719 0.252
N 0.758 0.204 0.994
N 0.728 0.281 0.748
N 0.258 0.796 0.506
N 0.742 0.204 0.494
N 0.228 0.719 0.752
N 0.242 0.796 0.006
CELL_PARAMETERS angstrom
-3.399 -1.541 -3.858
0.128 -8.592 3.318
-13.558 3.787 10.432
```

=====

First-principles (PBE-GGA) data for a relaxed Sr2HfSnO6 crystal, as listed in the Materials Project. Values from VASP.

Values from the calculation:
* energy relative to the elements: -3.207 eV per atom

Quantum ESPRESSO input file:
```
&SYSTEM
  ibrav = 0, nat = 10, ntyp = 4
/
ATOMIC_SPECIES
Sr 87.62 Sr.upf
Hf 178.49 Hf.upf
O 16.00 O.upf
Sn 118.71 Sn.upf
ATOMIC_POSITIONS crystal
Sr 0.750 0.750 0.750
Sr 0.250 0.250 0.250
Hf 0.000 0.000 0.000
O 0.250 0.750 0.750
O 0.750 0.250 0.750
O 0.750 0.750 0.250
O 0.250 0.750 0.250
O 0.750 0.250 0.250
O 0.250 0.250 0.750
Sn 0.500 0.500 0.500
CELL_PARAMETERS angstrom
0.000 -4.123 -4.123
4.123 0.000 -4.123
4.123 -4.123 0.000
```

=====

First-principles (PBE-GGA) data for a relaxed LuV2Fe10 crystal, as listed in the Materials Project. Values from VASP.

Values from the calculation:
* energy relative to the elements: -0.084 eV per atom

Quantum ESPRESSO input file:
```
&SYSTEM
  ibrav = 0, nat = 13, ntyp = 3
/
ATOMIC_SPECIES
Fe 55.84 Fe.upf
V 50.94 V.upf
Lu 174.97 Lu.upf
ATOMIC_POSITIONS crystal
Fe 0.500 0.000 0.500
Fe 0.500 0.500 0.000
Fe 0.642 0.358 0.642
Fe 0.000 0.000 0.500
Fe 0.722 0.778 0.222
Fe 0.000 0.500 0.000
Fe 0.358 0.642 0.358
Fe 0.278 0.222 0.778
Fe 0.500 0.776 0.776
Fe 0.500 0.224 0.224
V 0.000 0.642 0.642
V 0.000 0.358 0.358
Lu 0.000 0.000 0.000
CELL_PARAMETERS angstrom
-4.418 -0.846 1.306
-1.966 -5.753 -1.981
4.173 -2.037 4.396
```

=====

First-principles (PBE-GGA) data for a relaxed Li6Tb2O7 crystal, as listed in the Materials Project. Values from VASP.

Values from the calculation:
* energy relative to the elements: -2.504 eV per atom

Quantum ESPRESSO input file:
```
&SYSTEM
  ibrav = 0, nat = 30, ntyp = 3
/
ATOMIC_SPECIES
O 16.00 O.upf
Li 6.94 Li.upf
Tb 158.93 Tb.upf
ATOMIC_POSITIONS crystal
O 0.747 0.023 0.495
O 0.753 0.023 0.995
O 0.253 0.977 0.505
O 0.000 0.500 0.000
O 0.481 0.029 0.242
O 0.182 0.455 0.286
O 0.500 0.500 0.500
O 0.019 0.029 0.742
O 0.318 0.455 0.786
O 0.818 0.545 0.714
O 0.519 0.971 0.758
O 0.247 0.977 0.005
O 0.981 0.971 0.258
O 0.682 0.545 0.214
Li 0.256 0.779 0.366
Li 0.710 0.802 0.350
Li 0.244 0.779 0.866
Li 0.491 0.156 0.885
Li 0.744 0.221 0.634
Li 0.790 0.802 0.850
Li 0.290 0.198 0.650
Li 0.756 0.221 0.134
Li 0.009 0.156 0.385
Li 0.210 0.198 0.150
Li 0.991 0.844 0.615
Li 0.509 0.844 0.115
Tb 0.988 0.724 0.133
Tb 0.012 0.276 0.867
Tb 0.512 0.724 0.633
Tb 0.488 0.276 0.367
CELL_PARAMETERS angstrom
6.271 0.000 0.000
0.000 5.616 0.000
0.000 3.623 10.228
```

=====

First-principles (PBE-GGA) data for a relaxed KPHNO2 crystal, as listed in the Materials Project. Values from VASP.

Values from the calculation:
* energy relative to the elements: -1.778 eV per atom

Quantum ESPRESSO input file:
```
&SYSTEM
  ibrav = 0, nat = 36, ntyp = 5
/
ATOMIC_SPECIES
H 1.01 H.upf
O 16.00 O.upf
N 14.01 N.upf
P 30.97 P.upf
K 39.10 K.upf
ATOMIC_POSITIONS crystal
H 0.431 0.542 0.738
H 0.262 0.569 0.458
H 0.569 0.458 0.262
H 0.738 0.431 0.542
H 0.542 0.738 0.431
H 0.458 0.262 0.569
O 0.641 0.359 0.802
O 0.641 0.198 0.359
O 0.359 0.641 0.198
O 0.871 0.669 0.985
O 0.015 0.129 0.331
O 0.198 0.359 0.641
O 0.129 0.331 0.015
O 0.985 0.871 0.669
O 0.359 0.802 0.641
O 0.331 0.015 0.129
O 0.802 0.641 0.359
O 0.669 0.985 0.871
N 0.206 0.448 0.359
N 0.552 0.641 0.794
N 0.794 0.552 0.641
N 0.359 0.206 0.448
N 0.448 0.359 0.206
N 0.641 0.794 0.552
P 0.279 0.448 0.180
P 0.180 0.279 0.448
P 0.448 0.180 0.279
P 0.721 0.552 0.820
P 0.552 0.820 0.721
P 0.820 0.721 0.552
K 0.173 0.685 0.872
K 0.685 0.872 0.173
K 0.872 0.173 0.685
K 0.315 0.128 0.827
K 0.827 0.315 0.128
K 0.128 0.827 0.315
CELL_PARAMETERS angstrom
-7.517 -1.127 3.065
4.088 -6.708 2.335
3.151 5.940 4.686
```

=====

First-principles (PBE-GGA) data for a relaxed UBe13 crystal, as listed in the Materials Project. Values from VASP.

Values from the calculation:
* energy relative to the elements: -0.058 eV per atom

Quantum ESPRESSO input file:
```
&SYSTEM
  ibrav = 0, nat = 28, ntyp = 2
/
ATOMIC_SPECIES
Be 9.01 Be.upf
U 238.03 U.upf
ATOMIC_POSITIONS crystal
Be 0.560 0.440 0.208
Be 0.708 0.060 0.292
Be 0.500 0.500 0.500
Be 0.060 0.708 0.940
Be 0.060 0.940 0.292
Be 0.560 0.208 0.792
Be 0.792 0.440 0.560
Be 0.792 0.208 0.440
Be 0.208 0.440 0.792
Be 0.060 0.292 0.708
Be 0.940 0.292 0.060
Be 0.708 0.940 0.060
Be 0.440 0.792 0.208
Be 0.440 0.208 0.560
Be 0.940 0.708 0.292
Be 0.292 0.708 0.060
Be 0.292 0.940 0.708
Be 0.560 0.792 0.440
Be 0.940 0.060 0.708
Be 0.792 0.560 0.208
Be 0.708 0.292 0.940
Be 0.000 0.000 0.000
Be 0.440 0.560 0.792
Be 0.208 0.792 0.560
Be 0.208 0.560 0.440
Be 0.292 0.060 0.940
U 0.250 0.250 0.250
U 0.750 0.750 0.750
CELL_PARAMETERS angstrom
0.000 5.073 5.073
5.073 0.000 5.073
5.073 5.073 0.000
```

=====

Q: Among the records above, which one has the lowest energy relative to the elements?
A: Sr2HfSnO6